Entry 1:
Density functional theory data (GGA-PBE) for a relaxed structure of Nb12TlTe15As.

```
data_Nb12TlTe15As
_chemical_formula_sum 'Nb12 Tl1 Te15 As1'
_cell_length_a 10.7123
_cell_length_b 10.7123
_cell_length_c 7.3220
_cell_angle_alpha 90.00
_cell_angle_beta 90.00
_cell_angle_gamma 120.00
_symmetry_space_group_name_H-M 'P -6'
_symmetry_Int_Tables_number 174
loop_
_symmetry_equiv_pos_as_xyz
'x,y,z'
'-x+y,-x,-z'
'-y,x-y,z'
'x,y,-z'
'-x+y,-x,z'
'-y,x-y,-z'
loop_
_atom_site_label
_atom_site_type_symbol
_atom_site_fract_x
_atom_site_fract_y
_atom_site_fract_z
Nb1 Nb 0.0474 0.8186 0.0000
Nb2 Nb 0.0513 0.8225 0.5000
Nb3 Nb 0.1652 0.4466 0.2659
Tl1 Tl 0.6667 0.3333 0.5000
Te1 Te 0.0000 0.0000 0.2490
Te2 Te 0.3285 0.0502 0.0000
Te3 Te 0.3290 0.0598 0.5000
Te4 Te 0.3333 0.6667 0.0000
Te5 Te 0.3977 0.3972 0.2516
As1 As 0.3333 0.6667 0.5000
```

Results
The calculation puts the energy of formation from the pure elements at -0.454 eV per atom.

Entry 2:
Density functional theory data (GGA-PBE) for a relaxed structure of Nb6Pd2Se15.

```
data_Nb6Pd2Se15
_chemical_formula_sum 'Nb12 Pd4 Se30'
_cell_length_a 8.377
_cell_length_b 8.379
_cell_length_c 15.801
_cell_angle_alpha 76.66
_cell_angle_beta 84.27
_cell_angle_gamma 75.76
_symmetry_space_group_name_H-M 'P -1'
_symmetry_Int_Tables_number 2
loop_
_symmetry_equiv_pos_as_xyz
'x,y,z'
'-x,-y,-z'
loop_
_atom_site_label
_atom_site_type_symbol
_atom_site_fract_x
_atom_site_fract_y
_atom_site_fract_z
Nb1 Nb 0.015 0.457 0.180
Nb2 Nb 0.141 0.431 0.622
Nb3 Nb 0.194 0.234 0.380
Nb4 Nb 0.318 0.211 0.818
Nb5 Nb 0.351 0.122 0.180
Nb6 Nb 0.471 0.100 0.622
Pd1 Pd 0.000 0.000 0.500
Pd2 Pd 0.167 0.333 0.000
Pd3 Pd 0.500 0.000 0.000
Se1 Se 0.023 0.686 0.490
Se2 Se 0.028 0.227 0.901
Se3 Se 0.050 0.173 0.132
Se4 Se 0.105 0.710 0.677
Se5 Se 0.152 0.554 0.297
Se6 Se 0.180 0.112 0.704
Se7 Se 0.231 0.954 0.323
Se8 Se 0.285 0.494 0.868
Se9 Se 0.306 0.439 0.100
Se10 Se 0.316 0.975 0.510
Se11 Se 0.352 0.355 0.491
Se12 Se 0.360 0.894 0.901
Se13 Se 0.382 0.839 0.132
Se14 Se 0.438 0.380 0.676
Se15 Se 0.487 0.220 0.297
```

Results
The calculation puts the energy of formation from the pure elements at -1.057 eV per atom.

Entry 3:
Density functional theory data (GGA-PBE) for a relaxed structure of Pd3Pb2S2.

```
data_Pd3Pb2S2
_chemical_formula_sum 'Pd12 Pb8 S8'
_cell_length_a 8.484
_cell_length_b 8.484
_cell_length_c 8.484
_cell_angle_alpha 90.00
_cell_angle_beta 90.00
_cell_angle_gamma 90.00
_symmetry_space_group_name_H-M 'I 21 3'
_symmetry_Int_Tables_number 199
_symmetry_space_group_name_Hall 'I 2b 2c 3'
loop_
_atom_site_label
_atom_site_type_symbol
_atom_site_fract_x
_atom_site_fract_y
_atom_site_fract_z
Pd1 Pd 0.000 0.250 0.268
Pb1 Pb 0.002 0.498 0.502
S1 S 0.225 0.275 0.725
```

Results
The calculation puts the energy of formation from the pure elements at -0.565 eV per atom. For the polymorph energy (0 for the lowest one), the calculation gives 0 meV per atom.

Number 1: VASP energy -6.5022 eV/atom. Number 2: VASP energy -6.1145 eV/atom. Number 3: VASP energy -4.8834 eV/atom.